(1)
# ReC4S4N8Cl8O3

ReC4S4N8Cl8O3 after structural relaxation (PBE, the Materials Project database).

Calculated values
Crystal system = orthorhombic
Formation energy from the elements = 0.484 eV/atom
Theoretical density = 1.89 g/cm3
Calculated total energy = -0.192 Ha/atom

Structure (CIF):
```
data_ReC4S4N8Cl8O3
_symmetry_space_group_name_H-M 'C m c m'
_symmetry_Int_Tables_number 63
_symmetry_space_group_name_Hall '-C 2c 2'
_cell_length_a 11.136
_cell_length_b 15.020
_cell_length_c 16.922
_cell_angle_alpha 90.00
_cell_angle_beta 90.00
_cell_angle_gamma 90.00
loop_
_atom_site_label
_atom_site_type_symbol
_atom_site_fract_x
_atom_site_fract_y
_atom_site_fract_z
Re1 Re 0.000 0.150 0.250
C1 C 0.175 0.160 0.555
S1 S 0.118 0.485 0.553
N1 N 0.162 0.151 0.017
N2 N 0.192 0.167 0.627
Cl1 Cl 0.000 0.042 0.155
Cl2 Cl 0.000 0.258 0.154
Cl3 Cl 0.000 0.339 0.596
Cl4 Cl 0.206 0.151 0.250
O1 O 0.000 0.492 0.750
O2 O 0.099 0.464 0.250
```


(2)
# RhC4NCl4O2

RhC4NCl4O2 after structural relaxation (PBE, the Materials Project database).

Calculated values
Crystal system = orthorhombic
Formation energy from the elements = 0.777 eV/atom
Theoretical density = 2.24 g/cm3
Calculated total energy = -0.181 Ha/atom

Structure (CIF):
```
data_RhC4NCl4O2
_symmetry_space_group_name_H-M 'P m m n'
_symmetry_Int_Tables_number 59
_cell_length_a 6.379
_cell_length_b 8.532
_cell_length_c 9.224
_cell_angle_alpha 90.00
_cell_angle_beta 90.00
_cell_angle_gamma 90.00
loop_
_symmetry_equiv_pos_as_xyz
'x,y,z'
'-x,-y,-z'
'-x+1/2,-y+1/2,z'
'x+1/2,y+1/2,-z'
'x+1/2,-y,-z'
'-x+1/2,y,z'
'-x,y+1/2,-z'
'x,-y+1/2,z'
loop_
_atom_site_label
_atom_site_type_symbol
_atom_site_fract_x
_atom_site_fract_y
_atom_site_fract_z
Rh1 Rh 0.250 0.250 0.050
C1 C 0.071 0.750 0.539
C2 C 0.250 0.645 0.561
N1 N 0.250 0.750 0.414
Cl1 Cl 0.250 0.250 0.466
Cl2 Cl 0.250 0.250 0.809
Cl3 Cl 0.250 0.528 0.058
O1 O 0.008 0.750 0.890
```


(3)
# Ru2C2N8Cl3O5

Ru2C2N8Cl3O5 after structural relaxation (PBE, the Materials Project database).

Calculated values
Crystal system = orthorhombic
Formation energy from the elements = -0.139 eV/atom
Theoretical density = 1.84 g/cm3
Calculated total energy = -0.245 Ha/atom

Structure (CIF):
```
data_Ru2C2N8Cl3O5
_symmetry_space_group_name_H-M 'P n n 2'
_symmetry_Int_Tables_number 34
_cell_length_a 7.766
_cell_length_b 16.569
_cell_length_c 7.347
_cell_angle_alpha 90.00
_cell_angle_beta 90.00
_cell_angle_gamma 90.00
loop_
_symmetry_equiv_pos_as_xyz
'x,y,z'
'-x,-y,z'
'-x+1/2,y+1/2,z+1/2'
'x+1/2,-y+1/2,z+1/2'
loop_
_atom_site_label
_atom_site_type_symbol
_atom_site_fract_x
_atom_site_fract_y
_atom_site_fract_z
Ru1 Ru 0.075 0.105 0.000
C1 C 0.136 0.363 0.958
N1 N 0.093 0.829 0.094
N2 N 0.171 0.126 0.732
N3 N 0.231 0.649 0.133
N4 N 0.239 0.617 0.605
Cl1 Cl 0.000 0.000 0.433
Cl2 Cl 0.208 0.336 0.508
O1 O 0.000 0.000 0.936
O2 O 0.057 0.419 0.909
O3 O 0.212 0.306 0.007
```


(4)
# UC4SNClO8

UC4SNClO8 after structural relaxation (PBE, the Materials Project database).

Calculated values
Crystal system = monoclinic
Formation energy from the elements = -0.686 eV/atom
Theoretical density = 2.13 g/cm3
Calculated total energy = -0.257 Ha/atom

Structure (CIF):
```
data_UC4SNClO8
_symmetry_space_group_name_H-M 'P 1 21 1'
_symmetry_Int_Tables_number 4
_cell_length_a 9.946
_cell_length_b 6.943
_cell_length_c 11.755
_cell_angle_alpha 90.00
_cell_angle_beta 107.85
_cell_angle_gamma 90.00
loop_
_symmetry_equiv_pos_as_xyz
'x,y,z'
'-x,y+1/2,-z'
loop_
_atom_site_label
_atom_site_type_symbol
_atom_site_fract_x
_atom_site_fract_y
_atom_site_fract_z
U1 U 0.135 0.000 0.388
C1 C 0.250 0.980 0.052
C2 C 0.263 0.970 0.935
C3 C 0.270 0.805 0.997
C4 C 0.284 0.203 0.778
S1 S 0.159 0.502 0.478
N1 N 0.270 0.079 0.844
Cl1 Cl 0.292 0.568 0.014
O1 O 0.039 0.002 0.232
O2 O 0.061 0.502 0.554
O3 O 0.115 0.672 0.393
O4 O 0.120 0.328 0.396
O5 O 0.251 0.995 0.538
O6 O 0.304 0.508 0.547
O7 O 0.386 0.053 0.310
O8 O 0.405 0.879 0.333
```


(5)
# SbCNCl4O

SbCNCl4O after structural relaxation (PBE, the Materials Project database).

Calculated values
Crystal system = hexagonal
Formation energy from the elements = -0.706 eV/atom
Theoretical density = 2.30 g/cm3
Calculated total energy = -0.179 Ha/atom

Structure (CIF):
```
data_SbCNCl4O
_symmetry_space_group_name_H-M 'P 63/m'
_symmetry_Int_Tables_number 176
_symmetry_space_group_name_Hall '-P 6c'
_cell_length_a 12.0573
_cell_length_b 12.0573
_cell_length_c 10.5363
_cell_angle_alpha 90.00
_cell_angle_beta 90.00
_cell_angle_gamma 120.00
loop_
_atom_site_label
_atom_site_type_symbol
_atom_site_fract_x
_atom_site_fract_y
_atom_site_fract_z
Sb1 Sb 0.0473 0.6814 0.2500
C1 C 0.2441 0.5408 0.2500
N1 N 0.2061 0.6283 0.2500
Cl1 Cl 0.0410 0.1851 0.7500
Cl2 Cl 0.0672 0.6872 0.0271
Cl3 Cl 0.1306 0.5258 0.7500
O1 O 0.1684 0.4194 0.2500
```


(6)
# TaCNCl2O2

TaCNCl2O2 after structural relaxation (PBE, the Materials Project database).

Calculated values
Crystal system = cubic
Formation energy from the elements = -0.013 eV/atom
Theoretical density = 3.11 g/cm3
Calculated total energy = -0.226 Ha/atom

Structure (CIF):
```
data_TaCNCl2O2
_symmetry_space_group_name_H-M 'F 41 3 2'
_symmetry_Int_Tables_number 210
_symmetry_space_group_name_Hall 'F 4d 2 3'
_cell_length_a 19.943
_cell_length_b 19.943
_cell_length_c 19.943
_cell_angle_alpha 90.00
_cell_angle_beta 90.00
_cell_angle_gamma 90.00
loop_
_atom_site_label
_atom_site_type_symbol
_atom_site_fract_x
_atom_site_fract_y
_atom_site_fract_z
Ta1 Ta 0.000 0.000 0.108
C1 C 0.000 0.000 0.218
N1 N 0.000 0.000 0.276
Cl1 Cl 0.002 0.121 0.878
O1 O 0.043 0.079 0.398
```